## Ca2W2O5 (PBE with a Hubbard U)

Data for Ca2W2O5 after structural relaxation.

a b c (Å): 5.4923 10.9845 3.9767
angles (deg): 90.00 90.00 90.00
Last column: nearest neighbours and their distance in Å.
Space group Pbam (No. 55)
Unique sites:
Ca (0.1530, 0.1535, 0.0000) [4 per cell]  4 O 2.40-2.55
W (0.1691, 0.4033, 0.5000) [4 per cell]  4 O 2.01-2.10
O (0.0000, 0.0000, 0.5000) [2 per cell]  2 W 2.10
O (0.0992, 0.7206, 0.5000) [4 per cell]  1 W 2.01
O (0.2220, 0.3834, 0.0000) [4 per cell]  2 W 2.02

Computed properties:
- energy with MP2020 corrections (eV/atom) = -8.169
- energy relative to the elements (eV/atom) = -2.094
- total energy (eV per cell) = -122.4
- total magnetic moment (μB/f.u.) = 4.00